Entry 1:
The following is a DFT calculation (PBE) of an optimized crystal structure of CeSe2.

Lattice parameters (Å, degrees): 17.629 17.629 7.516 90.00 90.00 90.00
Space group P4/nnc (No. 126, origin choice 2)
Unique sites:
Ce 0.039 0.152 0.026
Se 0.000 0.000 0.000
Se 0.042 0.750 0.750
Se 0.142 0.142 0.750
Se 0.157 0.157 0.250

## Properties
- raw total energy (eV/cell) = -255.8



Entry 2:
The following is a DFT calculation (PBE) of an optimized crystal structure of In2O3.

Lattice parameters (Å, degrees): 11.382 11.546 11.755 97.06 92.73 91.64
Space group P1 (No. 1)
Unique sites:
In 0.000 0.000 0.000
In 0.001 0.538 0.777
In 0.020 0.898 0.682
In 0.026 0.808 0.182
In 0.064 0.189 0.269
In 0.067 0.491 0.227
In 0.076 0.557 0.551
In 0.112 0.791 0.439
In 0.159 0.799 0.892
In 0.215 0.094 0.479
In 0.242 0.343 0.707
In 0.280 0.110 0.894
In 0.291 0.943 0.177
In 0.294 0.379 0.431
In 0.309 0.659 0.325
In 0.313 0.905 0.635
In 0.337 0.582 0.928
In 0.375 0.645 0.637
In 0.438 0.395 0.158
In 0.443 0.140 0.336
In 0.458 0.141 0.646
In 0.513 0.131 0.060
In 0.514 0.809 0.871
In 0.522 0.362 0.891
In 0.554 0.682 0.110
In 0.580 0.572 0.403
In 0.585 0.864 0.356
In 0.633 0.572 0.714
In 0.695 0.872 0.621
In 0.703 0.121 0.833
In 0.708 0.258 0.624
In 0.742 0.924 0.150
In 0.779 0.471 0.989
In 0.803 0.216 0.091
In 0.806 0.367 0.384
In 0.819 0.758 0.904
In 0.823 0.688 0.322
In 0.875 0.014 0.437
In 0.974 0.247 0.876
In 0.994 0.272 0.563
O 0.029 0.120 0.430
O 0.031 0.733 0.582
O 0.056 0.338 0.745
O 0.103 0.134 0.930
O 0.134 0.598 0.384
O 0.142 0.876 0.059
O 0.142 0.950 0.556
O 0.162 0.348 0.282
O 0.172 0.623 0.856
O 0.182 0.274 0.536
O 0.202 0.815 0.280
O 0.203 0.922 0.784
O 0.224 0.575 0.159
O 0.250 0.099 0.299
O 0.256 0.495 0.591
O 0.285 0.167 0.722
O 0.296 0.744 0.508
O 0.298 0.499 0.084
O 0.349 0.034 0.042
O 0.352 0.418 0.839
O 0.381 0.015 0.520
O 0.405 0.484 0.334
O 0.407 0.747 0.014
O 0.411 0.266 0.997
O 0.413 0.248 0.483
O 0.445 0.054 0.813
O 0.454 0.820 0.699
O 0.464 0.626 0.801
O 0.467 0.966 0.263
O 0.486 0.699 0.292
O 0.513 0.247 0.222
O 0.524 0.577 0.567
O 0.544 0.011 0.884
O 0.558 0.282 0.721
O 0.565 0.497 0.073
O 0.640 0.058 0.656
O 0.654 0.794 0.994
O 0.658 0.482 0.854
O 0.661 0.259 0.970
O 0.664 0.394 0.499
O 0.681 0.074 0.099
O 0.689 0.751 0.460
O 0.694 0.766 0.219
O 0.705 0.754 0.752
O 0.723 0.990 0.332
O 0.736 0.522 0.321
O 0.740 0.448 0.606
O 0.823 0.208 0.495
O 0.827 0.233 0.760
O 0.860 0.102 0.942
O 0.867 0.953 0.602
O 0.888 0.853 0.063
O 0.889 0.593 0.911
O 0.890 0.277 0.248
O 0.916 0.356 0.024
O 0.948 0.841 0.352
O 0.953 0.630 0.197
O 0.970 0.416 0.471
O 0.978 0.854 0.849
O 0.992 0.042 0.177

## Properties
- raw total energy (eV/cell) = -534.6



Entry 3:
The following is a DFT calculation (PBE) of an optimized crystal structure of MgCd.

Lattice parameters (Å, degrees): 3.1239 3.1239 16.0933 90.00 90.00 120.00
Space group P-6m2 (No. 187)
Unique sites:
Mg 0.0000 0.0000 0.0000
Mg 0.6667 0.3333 0.1679
Cd 0.0000 0.0000 0.3320
Cd 0.6667 0.3333 0.5000

## Properties
- raw total energy (eV/cell) = -7.5



Number 1: M_tot 0.000 μB/f.u., volume 2335.8 Å³ per cell. Number 2: M_tot 0.000 μB/f.u., volume 1530.4 Å³ per cell. Number 3: M_tot 0.000 μB/f.u., volume 136.0 Å³ per cell.